1.
A geometry-optimized UBr4 structure. Source: the Materials Project, functional GGA-PBE.

Cell: 11.346 8.889 7.654 Å, 90.00 93.21 90.00°
Space group C2/m (No. 12)
One atom of each set of equivalent atoms:
U1 0.196 0.000 0.442 (multiplicity 4)
Br1 0.050 0.000 0.732 (multiplicity 4)
Br2 0.141 0.309 0.349 (multiplicity 8)
Br3 0.177 0.500 0.839 (multiplicity 4)

Properties
Energy with MP2020 corrections: -5.331 eV per atom


2.
A geometry-optimized VBr3 structure. Source: the Materials Project, functional GGA-PBE.

Cell: 9.9427 9.9427 3.3635 Å, 90.00 90.00 120.00°
Space group P6_3/mmc (No. 194)
One atom of each set of equivalent atoms:
V1 0.3333 0.6667 0.2500 (multiplicity 2)
Br1 0.2210 0.4420 0.7500 (multiplicity 6)

Properties
Energy with MP2020 corrections: -4.678 eV per atom


3.
A geometry-optimized W2Br5 structure. Source: the Materials Project, functional GGA-PBE.

Cell: 9.538 11.238 18.544 Å, 90.00 103.93 90.00°
Space group P2_1/c (No. 14)
One atom of each set of equivalent atoms:
W1 0.074 0.199 0.365 (multiplicity 4)
W2 0.124 0.110 0.943 (multiplicity 4)
W3 0.153 0.105 0.809 (multiplicity 4)
W4 0.340 0.245 0.888 (multiplicity 4)
Br1 0.021 0.206 0.496 (multiplicity 4)
Br2 0.104 0.509 0.176 (multiplicity 4)
Br3 0.115 0.677 0.732 (multiplicity 4)
Br4 0.137 0.521 0.577 (multiplicity 4)
Br5 0.180 0.590 0.386 (multiplicity 4)
Br6 0.196 0.185 0.248 (multiplicity 4)
Br7 0.273 0.052 0.436 (multiplicity 4)
Br8 0.392 0.152 0.015 (multiplicity 4)
Br9 0.427 0.653 0.124 (multiplicity 4)
Br10 0.428 0.065 0.823 (multiplicity 4)

Properties
Energy with MP2020 corrections: -5.726 eV per atom


4.
A geometry-optimized YBr3 structure. Source: the Materials Project, functional GGA-PBE.

Cell: 7.282 12.552 7.299 Å, 90.00 110.00 90.00°
Space group C2/m (No. 12)
One atom of each set of equivalent atoms:
Y1 0.000 0.167 0.000 (multiplicity 4)
Br1 0.211 0.000 0.239 (multiplicity 4)
Br2 0.239 0.181 0.768 (multiplicity 8)

Properties
Energy with MP2020 corrections: -5.160 eV per atom


5.
A geometry-optimized YBr3 structure. Source: the Materials Project, functional GGA-PBE.

Cell: 10.6731 10.6731 3.7521 Å, 90.00 90.00 120.00°
Space group P6_3/mmc (No. 194)
One atom of each set of equivalent atoms:
Y1 0.3333 0.6667 0.2500 (multiplicity 2)
Br1 0.2183 0.4366 0.7500 (multiplicity 6)

Properties
Energy with MP2020 corrections: -5.099 eV per atom


6.
A geometry-optimized ZnBr2 structure. Source: the Materials Project, functional GGA-PBE.

Cell: 3.8086 3.8086 22.0561 Å, 90.00 90.00 120.00°
Space group R-3m (No. 166, hexagonal axes)
One atom of each set of equivalent atoms:
Zn1 0.0000 0.0000 0.0000 (multiplicity 3)
Br1 0.0000 0.0000 0.2663 (multiplicity 6)

Properties
Energy with MP2020 corrections: -2.694 eV per atom


7.
A geometry-optimized ZnBr2 structure. Source: the Materials Project, functional GGA-PBE.

Cell: 6.321 4.281 7.066 Å, 90.00 100.11 90.00°
Space group C2/m (No. 12)
One atom of each set of equivalent atoms:
Zn1 0.000 0.000 0.000 (multiplicity 2)
Br1 0.233 0.500 0.208 (multiplicity 4)

Properties
Energy with MP2020 corrections: -2.669 eV per atom


8.
A geometry-optimized ZnBr2 structure. Source: the Materials Project, functional GGA-PBE.

Cell: 11.831 11.831 22.334 Å, 90.00 90.00 90.00°
Space group I4_1/acd (No. 142, origin choice 2)
One atom of each set of equivalent atoms:
Zn1 0.109 0.125 0.313 (multiplicity 32)
Br1 0.000 0.250 0.002 (multiplicity 16)
Br2 0.014 0.009 0.876 (multiplicity 32)
Br3 0.225 0.000 0.250 (multiplicity 16)

Properties
Energy with MP2020 corrections: -2.779 eV per atom


9.
A geometry-optimized ZrBr2 structure. Source: the Materials Project, functional GGA-PBE.

Cell: 13.8479 13.8479 9.6855 Å, 90.00 90.00 120.00°
Space group R-3 (No. 148, hexagonal axes)
One atom of each set of equivalent atoms:
Zr1 0.0413 0.1478 0.3622 (multiplicity 18)
Br1 0.0261 0.5863 0.1632 (multiplicity 18)
Br2 0.0498 0.1758 0.8190 (multiplicity 18)

Properties
Energy with MP2020 corrections: -5.532 eV per atom


10.
A geometry-optimized ZrBr3 structure. Source: the Materials Project, functional GGA-PBE.

Cell: 7.4946 7.4946 6.2846 Å, 90.00 90.00 120.00°
Space group P6_3/mcm (No. 193)
One atom of each set of equivalent atoms:
Zr1 0.0000 0.0000 0.0000 (multiplicity 2)
Br1 0.0000 0.2961 0.2500 (multiplicity 6)

Properties
Energy with MP2020 corrections: -5.164 eV per atom


11.
A geometry-optimized Zr3Br structure. Source: the Materials Project, functional GGA-PBE.

Cell: 6.1806 6.1806 5.4041 Å, 90.00 90.00 120.00°
Space group P6_3/mmc (No. 194)
One atom of each set of equivalent atoms:
Zr1 0.1621 0.3242 0.2500 (multiplicity 6)
Br1 0.3333 0.6667 0.7500 (multiplicity 2)

Properties
Energy with MP2020 corrections: -6.743 eV per atom


12.
A geometry-optimized C structure. Source: the Materials Project, functional GGA-PBE.

Cell: 2.5199 2.5199 8.3074 Å, 90.00 90.00 120.00°
Space group P6_3/mmc (No. 194)
One atom of each set of equivalent atoms:
C1 0.0000 0.0000 0.0930 (multiplicity 4)
C2 0.3333 0.6667 0.1555 (multiplicity 4)

Properties
Distance to the lowest polymorph of the same formula: 148 meV per atom


13.
A geometry-optimized C structure. Source: the Materials Project, functional GGA-PBE.

Cell: 2.5210 2.5210 31.1068 Å, 90.00 90.00 120.00°
Space group R-3m (No. 166, hexagonal axes)
One atom of each set of equivalent atoms:
C1 0.0000 0.0000 0.0248 (multiplicity 6)
C2 0.0000 0.0000 0.1086 (multiplicity 6)
C3 0.0000 0.0000 0.1584 (multiplicity 6)
C4 0.0000 0.0000 0.3748 (multiplicity 6)
C5 0.0000 0.0000 0.4253 (multiplicity 6)

Properties
Distance to the lowest polymorph of the same formula: 147 meV per atom


14.
A geometry-optimized C structure. Source: the Materials Project, functional GGA-PBE.

Cell: 2.4664 2.4664 24.8478 Å, 90.00 90.00 120.00°
Space group R-3m (No. 166, hexagonal axes)
One atom of each set of equivalent atoms:
C1 0.0000 0.0000 0.0872 (multiplicity 6)
C2 0.0000 0.0000 0.2462 (multiplicity 6)

Properties
Distance to the lowest polymorph of the same formula: 0 meV per atom


15.
A geometry-optimized C structure. Source: the Materials Project, functional GGA-PBE.

Cell: 9.072 2.526 4.160 Å, 90.00 90.00 90.00°
Space group Pnma (No. 62)
One atom of each set of equivalent atoms:
C1 0.021 0.250 0.092 (multiplicity 4)
C2 0.037 0.750 0.568 (multiplicity 4)
C3 0.189 0.250 0.198 (multiplicity 4)
C4 0.195 0.750 0.424 (multiplicity 4)

Properties
Distance to the lowest polymorph of the same formula: 293 meV per atom


16.
A geometry-optimized C structure. Source: the Materials Project, functional GGA-PBE.

Cell: 2.4684 2.4684 12.0611 Å, 90.00 90.00 120.00°
Space group R-3m (No. 166, hexagonal axes)
One atom of each set of equivalent atoms:
C1 0.0000 0.0000 0.1667 (multiplicity 6)

Properties
Distance to the lowest polymorph of the same formula: 3 meV per atom


| no. | E_form (meV/atom) |
| --- | --- |
| 1 | -1763 |
| 2 | -1180 |
| 3 | -854 |
| 4 | -2316 |
| 5 | -2255 |
| 6 | -1182 |
| 7 | -1158 |
| 8 | -1268 |
| 9 | -1591 |
| 10 | -1799 |
| 11 | 77 |
| 12 | 148 |
| 13 | 147 |
| 14 | 0 |
| 15 | 293 |
| 16 | 3 |